Record 1
Ti2Al2CrCuS8 after structural relaxation, computed with PBE.

## Properties
- Final energy: -6.030 eV/atom

Cell lengths 12.1465, 6.9857, 7.1771 Å; angles 90.00, 124.51, 90.00 degrees
Closest atoms and distances in Å follow each position.
Space group Cm (No. 8)
Symmetry-distinct sites (fractional):
Ti1 0.0000 0.2256 0.0000 (multiplicity 4)  6 S 2.36-2.58
Al1 0.2641 0.5000 0.5163 (multiplicity 2)  6 S 2.39-2.47
Al2 0.3915 0.0000 0.3932 (multiplicity 2)  4 S 2.28-2.30
Cr1 0.2693 0.5000 0.0030 (multiplicity 2)  6 S 2.36-2.49
Cu1 0.1333 0.0000 0.6248 (multiplicity 2)  4 S 2.22-2.27
S1 0.0041 0.0000 0.2494 (multiplicity 2)  1 Cu 2.22, 1 Cr 2.36, 2 Ti 2.36
S2 0.0040 0.0000 0.7564 (multiplicity 2)  1 Cu 2.25, 2 Ti 2.37, 1 Al 2.40
S3 0.0188 0.5000 0.2519 (multiplicity 2)  2 Al 2.28-2.46
S4 0.0214 0.5000 0.7811 (multiplicity 2)  1 Al 2.29, 1 Cr 2.48
S5 0.2562 0.2661 0.2516 (multiplicity 4)  2 Al 2.30-2.47, 1 Cr 2.49
S6 0.2625 0.2664 0.7581 (multiplicity 4)  1 Cu 2.27, 1 Cr 2.37, 1 Ti 2.38, 1 Al 2.39



Record 2
LiHPd after structural relaxation, computed with PBE.

## Properties
- Final energy: -3.897 eV/atom

Cell lengths 2.8091, 2.8091, 3.9158 Å; angles 90.00, 90.00, 90.00 degrees
Closest atoms and distances in Å follow each position.
Space group P4/mmm (No. 123)
Symmetry-distinct sites (fractional):
Li1 0.0000 0.0000 0.0000 (multiplicity 1)  2 H 1.96
H1 0.0000 0.0000 0.5000 (multiplicity 1)  2 Li 1.96, 4 Pd 1.99
Pd1 0.5000 0.5000 0.5000 (multiplicity 1)  4 H 1.99



Record 3
MgW3 after structural relaxation, computed with PBE.

## Properties
- Final energy: -9.622 eV/atom

Cell lengths 5.7844, 5.7844, 4.6857 Å; angles 90.00, 90.00, 120.00 degrees
Closest atoms and distances in Å follow each position.
Space group P6_3/mmc (No. 194)
Symmetry-distinct sites (fractional):
Mg1 0.3333 0.6667 0.2500 (multiplicity 2)  12 W 2.89-2.95
W1 0.1546 0.3093 0.7500 (multiplicity 6)  6 W 2.68-2.81, 4 Mg 2.89-2.95



Record 4
K2TiAuF6 after structural relaxation, computed with PBE.

## Properties
- Final energy: -5.022 eV/atom

Cell lengths 9.3421, 9.3421, 9.3421 Å; angles 90.00, 90.00, 90.00 degrees
Closest atoms and distances in Å follow each position.
Space group Fm-3m (No. 225)
Symmetry-distinct sites (fractional):
K1 0.2500 0.2500 0.2500 (multiplicity 8)  12 F 3.33
Ti1 0.0000 0.0000 0.0000 (multiplicity 4)  6 F 1.89
Au1 0.0000 0.0000 0.5000 (multiplicity 4)  6 F 2.78
F1 0.0000 0.0000 0.2027 (multiplicity 24)  1 Ti 1.89



Record 5
MgNbCu3S4 after structural relaxation, computed with PBE.

## Properties
- Final energy: -4.929 eV/atom

Cell lengths 5.8970, 5.8970, 5.3586 Å; angles 90.00, 90.00, 90.00 degrees
Closest atoms and distances in Å follow each position.
Space group P-42m (No. 111)
Symmetry-distinct sites (fractional):
Mg1 0.0000 0.0000 0.0000 (multiplicity 1)  4 S 2.47
Nb1 0.5000 0.5000 0.0000 (multiplicity 1)  4 S 2.40, 2 Cu 2.68
Cu1 0.0000 0.5000 0.0000 (multiplicity 2)  4 S 2.43
Cu2 0.5000 0.5000 0.5000 (multiplicity 1)  4 S 2.49, 2 Nb 2.68
S1 0.2550 0.2550 0.7661 (multiplicity 4)  1 Nb 2.40, 3 Cu 2.43-2.49, 1 Mg 2.47



Record 6
SrCr7N10 after structural relaxation, computed with PBE.

## Properties
- Final energy: -8.871 eV/atom

Cell lengths 7.0945, 6.8598, 10.2725 Å; angles 90.00, 104.53, 90.00 degrees
Closest atoms and distances in Å follow each position.
Space group Pc (No. 7)
Symmetry-distinct sites (fractional):
Sr1 0.0000 0.0307 0.0000 (multiplicity 2)  5 N 2.69-2.98
Cr1 0.1872 0.4144 0.4658 (multiplicity 2)  4 N 1.79-1.83
Cr2 0.4038 0.3855 0.7913 (multiplicity 2)  4 N 1.80-1.89
Cr3 0.4503 0.0210 0.4056 (multiplicity 2)  4 N 1.75-1.86
Cr4 0.5514 0.3806 0.0844 (multiplicity 2)  4 N 1.80-1.84
Cr5 0.6350 0.0164 0.2230 (multiplicity 2)  4 N 1.76-1.86
Cr6 0.7708 0.3871 0.3669 (multiplicity 2)  4 N 1.77-1.90
Cr7 0.9563 0.3480 0.7042 (multiplicity 2)  4 N 1.78-1.84
N1 0.1699 0.3953 0.8394 (multiplicity 2)  3 Cr 1.81-1.85
N2 0.2637 0.1833 0.4152 (multiplicity 2)  2 Cr 1.75-1.79
N3 0.3416 0.4965 0.1247 (multiplicity 2)  3 Cr 1.82-1.84
N4 0.4386 0.1330 0.7554 (multiplicity 2)  3 Cr 1.80-1.86
N5 0.5181 0.1215 0.0593 (multiplicity 2)  3 Cr 1.80-1.83
N6 0.6231 0.4503 0.9309 (multiplicity 2)  3 Cr 1.77-1.89
N7 0.6592 0.1533 0.3831 (multiplicity 2)  3 Cr 1.80-1.86
N8 0.7788 0.4663 0.1953 (multiplicity 2)  3 Cr 1.78-1.86
N9 0.8481 0.1167 0.7268 (multiplicity 2)  2 Cr 1.76-1.80
N10 0.9722 0.3613 0.5281 (multiplicity 2)  3 Cr 1.83-1.90



Asked for ΔE_f across the records above, the calculation gives -18.32, -1.21, 1.99, -28.11, -5.83, -10.66 eV/f.u. in order.